Below is a relaxed Tm3Ni crystal, with properties calculated at the r²SCAN level.

a b c (Å): 6.6827 9.4124 6.2106
angles (deg): 90.00 90.00 90.00
Positions (direct):
Tm  0.0352  0.2500  0.1381
Tm  0.1778  0.0668  0.6829
Tm  0.1778  0.4332  0.6829
Tm  0.3222  0.5668  0.1829
Tm  0.3222  0.9332  0.1829
Tm  0.4648  0.7500  0.6381
Tm  0.5352  0.2500  0.3619
Tm  0.6778  0.0668  0.8171
Tm  0.6778  0.4332  0.8171
Tm  0.8222  0.5668  0.3171
Tm  0.8222  0.9332  0.3171
Tm  0.9648  0.7500  0.8619
Ni  0.1056  0.7500  0.4524
Ni  0.3944  0.2500  0.9524
Ni  0.6056  0.7500  0.0476
Ni  0.8944  0.2500  0.5476

Values from the calculation:
**Electronic total energy**: -2.176 Ry/atom